[1]
Below is MgBi2O4 after structural relaxation, with properties calculated at the PBE-GGA level.

abc: 3.7428 5.6192 6.6395
angles: 61.80 73.56 89.97
Element x y z (fractional)
Bi1 0.1497 0.8862 0.7017
Bi2 0.9639 0.1695 0.0756
Mg1 0.3484 0.5637 0.3046
O1 0.1636 0.2757 0.6725
O2 0.3633 0.1969 0.2768
O3 0.5388 0.8030 0.9228
O4 0.8551 0.7378 0.2910

- formation energy from the elements (eV per formula unit) = -13.07
- crystal system = monoclinic
- VASP energy (eV/atom) = -5.64

=====

[2]
Below is Na2MgZnS3O12 after structural relaxation, with properties calculated at the PBE-GGA level.

abc: 8.8206 8.8243 22.3948
angles: 90.40 89.59 120.36
Element x y z (fractional)
Na1 0.6376 0.6385 0.7506
Na2 0.6667 0.3335 0.3340
Na3 0.9709 0.3052 0.4172
Na4 0.3051 0.9710 0.0828
Na5 0.0000 0.0000 0.4999
Na6 0.3617 0.3617 0.2500
Na7 0.3334 0.6667 0.6666
Na8 0.6665 0.3333 0.8340
Na9 0.3335 0.6667 0.1661
Na10 0.0292 0.6948 0.5827
Na11 0.6955 0.0289 0.9167
Na12 0.0000 0.9999 0.9994
O1 0.3467 0.8567 0.5793
O2 0.1387 0.4952 0.5785
O3 0.9822 0.1768 0.5896
O4 0.5092 0.6468 0.5791
O5 0.9878 0.8109 0.0895
O6 0.6408 0.1280 0.1333
O7 0.8038 0.0258 0.8075
O8 0.5538 0.8620 0.4716
O9 0.8775 0.5234 0.1364
O10 0.2207 0.1956 0.8049
O11 0.8436 0.3142 0.2446
O12 0.4715 0.1614 0.2437
O13 0.6799 0.5235 0.2447
O14 0.1902 0.2109 0.6970
O15 0.8389 0.5271 0.7429
O16 0.3017 0.4521 0.4681
O17 0.9759 0.1924 0.3067
O18 0.1574 0.6864 0.7541
O19 0.7945 0.9741 0.7001
O20 0.3623 0.8783 0.8658
O21 0.5234 0.8774 0.3636
O22 0.1924 0.9759 0.1933
O23 0.4777 0.3213 0.7438
O24 0.3555 0.4752 0.3604
O25 0.0123 0.1887 0.9118
O26 0.6984 0.5480 0.5318
O27 0.1614 0.4715 0.2562
O28 0.6483 0.5091 0.9216
O29 0.3201 0.4768 0.7540
O30 0.0287 0.2086 0.1995
O31 0.3142 0.8437 0.2554
O32 0.8109 0.9877 0.4105
O33 0.9682 0.7851 0.8014
O34 0.5286 0.6427 0.8596
O35 0.4753 0.3555 0.1396
O36 0.8553 0.3456 0.9215
O37 0.4907 0.3533 0.4208
O38 0.1722 0.1939 0.4096
O39 0.1890 0.0122 0.5894
O40 0.4461 0.1380 0.5284
O41 0.1162 0.4725 0.8625
O42 0.8085 0.7855 0.3038
O43 0.5280 0.8381 0.7548
O44 0.8278 0.8061 0.5904
O45 0.1756 0.9815 0.9117
O46 0.3531 0.4906 0.0793
O47 0.8068 0.8283 0.9110
O48 0.6532 0.1433 0.4207
O49 0.2086 0.0286 0.3005
O50 0.1372 0.6925 0.4742
O51 0.1281 0.6409 0.3667
O52 0.6843 0.1565 0.7437
O53 0.0222 0.8085 0.6938
O54 0.1392 0.4496 0.9708
O55 0.6925 0.1371 0.0259
O56 0.3093 0.8619 0.9737
O57 0.1937 0.1722 0.0905
O58 0.7855 0.8084 0.1962
O59 0.6445 0.5249 0.6395
O60 0.8614 0.5049 0.4215
O61 0.5049 0.8615 0.0786
O62 0.1435 0.6534 0.0794
O63 0.0179 0.8233 0.4104
O64 0.4764 0.1225 0.6363
O65 0.4519 0.3016 0.0320
O66 0.8233 0.0179 0.0896
O67 0.8721 0.3592 0.6332
O68 0.4949 0.1401 0.9223
O69 0.5449 0.6956 0.9676
O70 0.5234 0.6798 0.2554
O71 0.8628 0.3075 0.5258
O72 0.8622 0.5540 0.0285
Zn1 0.3439 0.6697 0.5151
Zn2 0.0102 0.0030 0.8479
Zn3 0.3307 0.6566 0.0156
Zn4 0.6697 0.3436 0.9854
Zn5 0.6561 0.3303 0.4850
Zn6 0.3232 0.6642 0.8177
S1 0.3696 0.0370 0.5836
S2 0.9630 0.6305 0.0837
S3 0.6304 0.9629 0.4164
S4 0.7052 0.0018 0.7512
S5 0.9615 0.3315 0.5821
S6 0.2941 0.9990 0.2484
S7 0.7043 0.7043 0.2500
S8 0.6295 0.6655 0.9151
S9 0.6686 0.0386 0.0822
S10 0.6663 0.6287 0.5851
S11 0.0385 0.6686 0.4179
S12 0.3322 0.9628 0.9182
S13 0.3336 0.3713 0.4148
S14 0.3711 0.3335 0.0852
S15 0.2970 0.2963 0.7497
S16 0.0003 0.7045 0.7481
S17 0.0358 0.3691 0.9167
S18 0.9990 0.2941 0.2515
Mg1 0.9974 0.9914 0.3499
Mg2 0.6753 0.3355 0.1842
Mg3 0.9914 0.9974 0.1501
Mg4 0.0022 0.0082 0.6497
Mg5 0.3355 0.6753 0.3158
Mg6 0.6645 0.3251 0.6837

- formation energy from the elements (eV per formula unit) = -41.02
- crystal system = triclinic
- VASP energy (eV/atom) = -5.79

=====

[3]
Below is Na12Mg10Ta2Si3S15O72 after structural relaxation, with properties calculated at the PBE-GGA level.

abc: 8.8196 8.8624 22.5096
angles: 90.12 90.14 119.82
Element x y z (fractional)
Mg1 0.6702 0.3295 0.6876
Mg2 0.6647 0.3342 0.4811
Mg3 0.6671 0.3345 0.9793
Mg4 0.3231 0.6581 0.5168
Mg5 0.0019 0.9869 0.1552
Mg6 0.6556 0.3274 0.1870
Mg7 0.0194 0.0214 0.3486
Mg8 0.9947 0.0042 0.8494
Mg9 0.9878 0.9878 0.6564
Mg10 0.3388 0.6677 0.0151
Na1 0.6866 0.6515 0.4153
Na2 0.9857 0.9884 0.9953
Na3 0.6721 0.9721 0.5940
Na4 0.3305 0.6759 0.6661
Na5 0.3308 0.0480 0.4059
Na6 0.6445 0.3177 0.3267
Na7 0.6728 0.3156 0.8277
Na8 0.0290 0.3336 0.0835
Na9 0.0120 0.0179 0.4970
Na10 0.3449 0.6819 0.1664
Na11 0.2984 0.9709 0.0935
Na12 0.3034 0.3380 0.5770
S1 0.9983 0.7081 0.7521
S2 0.2940 0.2927 0.7504
S3 0.3744 0.3376 0.0816
S4 0.9550 0.6246 0.0819
S5 0.0410 0.3724 0.9192
S6 0.9602 0.3375 0.5832
S7 0.9956 0.2922 0.2483
S8 0.6731 0.6300 0.5827
S9 0.3697 0.0376 0.5822
S10 0.0408 0.6627 0.4170
S11 0.6274 0.6655 0.9180
S12 0.7115 0.7091 0.2522
S13 0.6689 0.0406 0.0823
S14 0.3302 0.9585 0.9181
S15 0.6253 0.9555 0.4179
O1 0.8666 0.3582 0.9204
O2 0.1909 0.2243 0.6952
O3 0.1377 0.4950 0.5800
O4 0.3481 0.8580 0.8656
O5 0.1376 0.6467 0.0777
O6 0.8310 0.8054 0.5870
O7 0.3529 0.5018 0.3652
O8 0.1649 0.4707 0.2573
O9 0.8009 0.8185 0.9111
O10 0.6900 0.5360 0.2445
O11 0.1581 0.6801 0.7610
O12 0.6973 0.1488 0.0287
O13 0.6419 0.1290 0.4210
O14 0.2142 0.1859 0.8025
O15 0.5432 0.6893 0.9705
O16 0.1937 0.1795 0.0861
O17 0.6698 0.1687 0.7455
O18 0.7688 0.9620 0.6864
O19 0.1329 0.6472 0.3628
O20 0.6329 0.5025 0.9192
O21 0.7834 0.8196 0.1998
O22 0.5049 0.8671 0.3650
O23 0.3185 0.8225 0.2617
O24 0.8753 0.5176 0.1352
O25 0.4752 0.3338 0.7437
O26 0.3161 0.4575 0.4821
O27 0.2104 0.0180 0.3104
O28 0.0432 0.8159 0.6983
O29 0.9762 0.8019 0.0857
O30 0.7927 0.9612 0.4080
O31 0.9856 0.1809 0.5868
O32 0.5107 0.3552 0.4182
O33 0.4977 0.1691 0.2459
O34 0.1595 0.1731 0.4159
O35 0.8537 0.5386 0.0281
O36 0.1562 0.7024 0.4689
O37 0.4564 0.3089 0.0288
O38 0.5466 0.8540 0.4723
O39 0.6407 0.1228 0.1351
O40 0.8729 0.4998 0.4213
O41 0.8548 0.3315 0.2423
O42 0.3099 0.8577 0.9726
O43 0.4467 0.1400 0.5268
O44 0.6472 0.5168 0.6340
O45 0.1740 0.9740 0.9090
O46 0.5150 0.6546 0.5806
O47 0.8278 0.0231 0.0895
O48 0.8467 0.5355 0.7441
O49 0.1951 0.0231 0.5894
O50 0.9842 0.7924 0.8055
O51 0.3485 0.4915 0.0760
O52 0.8245 0.0257 0.8062
O53 0.6870 0.5486 0.5267
O54 0.5080 0.8659 0.0758
O55 0.5121 0.6485 0.8640
O56 0.9712 0.1866 0.3009
O57 0.4777 0.3604 0.1356
O58 0.1926 0.9629 0.1879
O59 0.8744 0.3533 0.6366
O60 0.8036 0.7894 0.3077
O61 0.4921 0.1286 0.9195
O62 0.8524 0.3108 0.5295
O63 0.3027 0.4714 0.7604
O64 0.0300 0.2016 0.9135
O65 0.1405 0.4563 0.9743
O66 0.0076 0.8100 0.4099
O67 0.0286 0.2218 0.1936
O68 0.5094 0.8260 0.7626
O69 0.4837 0.1244 0.6338
O70 0.1369 0.4856 0.8668
O71 0.3556 0.8627 0.5767
O72 0.5252 0.6857 0.2576
Ta1 0.3315 0.6596 0.3124
Ta2 0.3407 0.6720 0.8125
Si1 0.7163 0.0156 0.7487
Si2 0.3283 0.3650 0.4225
Si3 0.3019 0.0074 0.2500

- formation energy from the elements (eV per formula unit) = -274.95
- crystal system = triclinic
- VASP energy (eV/atom) = -6.28

=====

[4]
Below is HfMg6Si after structural relaxation, with properties calculated at the PBE-GGA level.

abc: 5.1010 5.8582 11.1211
angles: 90.00 90.00 90.00
Element x y z (fractional)
Mg1 0.5000 0.7504 0.9220
Mg2 0.5000 0.2504 0.4220
Mg3 0.0000 0.0000 0.8311
Mg4 0.5000 0.2496 0.9220
Mg5 0.0000 0.2486 0.5800
Mg6 0.0000 0.7486 0.0800
Mg7 0.0000 0.7514 0.5800
Mg8 0.0000 0.5000 0.8227
Mg9 0.0000 0.2514 0.0800
Mg10 0.5000 0.7496 0.4220
Mg11 0.0000 0.0000 0.3227
Mg12 0.0000 0.5000 0.3311
Si1 0.5000 0.5000 0.6673
Si2 0.5000 0.0000 0.1673
Hf1 0.5000 0.0000 0.6748
Hf2 0.5000 0.5000 0.1748

- formation energy from the elements (eV per formula unit) = 0.56
- VASP energy (eV/atom) = -3.06

=====

[5]
Below is Ce4Bi3 after structural relaxation, with properties calculated at the PBE-GGA level.

abc: 8.4127 8.4127 8.4127
angles: 109.47 109.47 109.47
Element x y z (fractional)
Bi1 0.3750 0.2500 0.6250
Bi2 0.1250 0.7500 0.8750
Bi3 0.7500 0.8750 0.1250
Bi4 0.8750 0.1250 0.7500
Bi5 0.6250 0.3750 0.2500
Bi6 0.2500 0.6250 0.3750
Ce1 0.3510 0.5000 0.0000
Ce2 0.0000 0.3510 0.5000
Ce3 0.5000 0.0000 0.3510
Ce4 0.6490 0.6490 0.6490
Ce5 0.5000 0.0000 0.8510
Ce6 0.0000 0.8510 0.5000
Ce7 0.8510 0.5000 0.0000
Ce8 0.1490 0.1490 0.1490

- formation energy from the elements (eV per formula unit) = -4.92
- crystal system = cubic
- VASP energy (eV/atom) = -5.76

=====

[6]
Below is Tb11Ge10 after structural relaxation, with properties calculated at the PBE-GGA level.

abc: 11.3556 11.3556 11.3556
angles: 122.16 122.16 86.31
Element x y z (fractional)
Ge1 0.4716 0.8917 0.0000
Ge2 0.1129 0.1129 0.0000
Ge3 0.0000 0.6388 0.6388
Ge4 0.5284 0.1083 0.0000
Ge5 0.3806 0.6194 0.0000
Ge6 0.6194 0.6194 0.2389
Ge7 0.3806 0.3806 0.7611
Ge8 0.3612 0.0000 0.3612
Ge9 0.1083 0.5284 0.0000
Ge10 0.7500 0.2500 0.5000
Ge11 0.1083 0.1083 0.5799
Ge12 0.6388 0.0000 0.6388
Ge13 0.6194 0.3806 0.0000
Ge14 0.8871 0.8871 0.0000
Ge15 0.8917 0.4716 0.0000
Ge16 0.8917 0.8917 0.4201
Ge17 0.2500 0.7500 0.5000
Ge18 0.4716 0.4716 0.5799
Ge19 0.0000 0.3612 0.3612
Ge20 0.5284 0.5284 0.4201
Tb1 0.8096 0.5574 0.7477
Tb2 0.0739 0.3976 0.6763
Tb3 0.3976 0.7212 0.3237
Tb4 0.3976 0.0739 0.6763
Tb5 0.8223 0.8223 0.6447
Tb6 0.1777 0.8223 0.0000
Tb7 0.5574 0.8096 0.7477
Tb8 0.0619 0.8096 0.2523
Tb9 0.1904 0.9381 0.7477
Tb10 0.1777 0.1777 0.3553
Tb11 0.6024 0.2788 0.6763
Tb12 0.2788 0.6024 0.6763
Tb13 0.7212 0.3976 0.3237
Tb14 0.9381 0.1904 0.7477
Tb15 0.4426 0.1904 0.2523
Tb16 0.1904 0.4426 0.2523
Tb17 0.6599 0.6599 0.0000
Tb18 0.9261 0.6024 0.3237
Tb19 0.8223 0.1777 0.0000
Tb20 0.6024 0.9261 0.3237
Tb21 0.3401 0.3401 0.0000
Tb22 0.8096 0.0619 0.2523

- formation energy from the elements (eV per formula unit) = -17.80
- crystal system = tetragonal
- VASP energy (eV/atom) = -5.48

=====

[7]
Below is Sc2CoIr after structural relaxation, with properties calculated at the PBE-GGA level.

abc: 4.5032 4.5032 4.5032
angles: 60.00 60.00 60.00
Element x y z (fractional)
Sc1 0.2500 0.2500 0.2500
Sc2 0.7500 0.7500 0.7500
Ir1 0.0000 0.0000 0.0000
Co1 0.5000 0.5000 0.5000

- formation energy from the elements (eV per formula unit) = -2.90
- crystal system = cubic
- VASP energy (eV/atom) = -7.88

=====

[8]
Below is Y2SnAu2 after structural relaxation, with properties calculated at the PBE-GGA level.

abc: 7.9548 7.9548 7.5849
angles: 90.00 90.00 90.00
Element x y z (fractional)
Y1 0.6841 0.6841 0.5000
Y2 0.3159 0.3159 0.5000
Y3 0.6577 0.6577 0.0000
Y4 0.8159 0.1841 0.0000
Y5 0.1841 0.8159 0.0000
Y6 0.8423 0.1577 0.5000
Y7 0.1577 0.8423 0.5000
Y8 0.3423 0.3423 0.0000
Au1 0.6275 0.3725 0.7220
Au2 0.8725 0.8725 0.2220
Au3 0.3725 0.6275 0.7220
Au4 0.6275 0.3725 0.2780
Au5 0.8725 0.8725 0.7780
Au6 0.3725 0.6275 0.2780
Au7 0.1275 0.1275 0.7780
Au8 0.1275 0.1275 0.2220
Sn1 0.0000 0.5000 0.2500
Sn2 0.0000 0.5000 0.7500
Sn3 0.5000 0.0000 0.2500
Sn4 0.5000 0.0000 0.7500

- formation energy from the elements (eV per formula unit) = -4.21
- crystal system = tetragonal
- VASP energy (eV/atom) = -5.54

=====

[9]
Below is CaZrO3 after structural relaxation, with properties calculated at the PBE-GGA level.

abc: 5.6384 5.8332 8.1069
angles: 90.00 90.00 90.00
Element x y z (fractional)
Zr1 0.0000 0.5000 0.5000
Zr2 0.5000 0.0000 0.0000
Zr3 0.5000 0.0000 0.5000
Zr4 0.0000 0.5000 0.0000
O1 0.1966 0.1993 0.0578
O2 0.8034 0.8007 0.5578
O3 0.6088 0.0427 0.2500
O4 0.3912 0.9573 0.7500
O5 0.6966 0.3007 0.9422
O6 0.8912 0.5427 0.2500
O7 0.3034 0.6993 0.0578
O8 0.8034 0.8007 0.9422
O9 0.1966 0.1993 0.4422
O10 0.1088 0.4573 0.7500
O11 0.6966 0.3007 0.5578
O12 0.3034 0.6993 0.4422
Ca1 0.0131 0.9492 0.2500
Ca2 0.4869 0.4492 0.2500
Ca3 0.5131 0.5508 0.7500
Ca4 0.9869 0.0508 0.7500

- formation energy from the elements (eV per formula unit) = -18.35
- crystal system = orthorhombic
- VASP energy (eV/atom) = -8.34

=====

[10]
Below is ScPb3 after structural relaxation, with properties calculated at the PBE-GGA level.

abc: 6.5755 6.5755 6.0302
angles: 90.00 90.00 120.00
Element x y z (fractional)
Pb1 0.1698 0.3396 0.2500
Pb2 0.1698 0.8302 0.2500
Pb3 0.6604 0.8302 0.2500
Pb4 0.8302 0.6604 0.7500
Pb5 0.3396 0.1698 0.7500
Pb6 0.8302 0.1698 0.7500
Sc1 0.6667 0.3333 0.2500
Sc2 0.3333 0.6667 0.7500

- formation energy from the elements (eV per formula unit) = -0.39
- crystal system = hexagonal
- VASP energy (eV/atom) = -4.46

=====

Q: Number 1 is which compound?
A: MgBi2O4